# 1
Computed, not measured: a geometry-optimized NbNiP structure at the meta-GGA r2SCAN level of DFT.

Geometry as POSCAR:
```
NbNiP
1.0
6.1308 0.0000 0.0000
0.0000 3.5888 0.0000
0.0000 0.0000 7.0734
Nb Ni P
4 4 4
Direct
0.0206 0.2500 0.1669
0.4794 0.7500 0.6669
0.5206 0.2500 0.3331
0.9794 0.7500 0.8331
0.1507 0.2500 0.5685
0.3493 0.7500 0.0685
0.6507 0.2500 0.9315
0.8493 0.7500 0.4315
0.2149 0.7500 0.3798
0.2851 0.2500 0.8798
0.7149 0.7500 0.1202
0.7851 0.2500 0.6202
```

## Properties
The space group is Pnma, No. 62. The calculation puts the energy relative to the elements at -0.868 eV per atom. The spin magnetization is 0.00 μB/f.u.

***

# 2
Computed, not measured: a geometry-optimized Nb6Si7Ni16 structure at the meta-GGA r2SCAN level of DFT.

Geometry as POSCAR:
```
Nb6Si7Ni16
1.0
0.0000 5.5924 5.5924
5.5924 0.0000 5.5924
5.5924 5.5924 0.0000
Nb Si Ni
6 7 16
Direct
0.2042 0.2042 0.7958
0.2042 0.7958 0.2042
0.2042 0.7958 0.7958
0.7958 0.2042 0.2042
0.7958 0.2042 0.7958
0.7958 0.7958 0.2042
0.0000 0.0000 0.5000
0.0000 0.5000 0.0000
0.0000 0.5000 0.5000
0.5000 0.0000 0.0000
0.5000 0.0000 0.5000
0.5000 0.5000 0.0000
0.5000 0.5000 0.5000
0.1497 0.6168 0.6168
0.1686 0.1686 0.1686
0.1686 0.1686 0.4943
0.1686 0.4943 0.1686
0.3832 0.3832 0.3832
0.3832 0.3832 0.8503
0.3832 0.8503 0.3832
0.4943 0.1686 0.1686
0.5057 0.8314 0.8314
0.6168 0.1497 0.6168
0.6168 0.6168 0.1497
0.6168 0.6168 0.6168
0.8314 0.5057 0.8314
0.8314 0.8314 0.5057
0.8314 0.8314 0.8314
0.8503 0.3832 0.3832
```

## Properties
The space group is Fm-3m, No. 225. The calculation puts the energy relative to the elements at -0.603 eV per atom. The spin magnetization is 0.00 μB/f.u.

***

# 3
Computed, not measured: a geometry-optimized NbNiTe2 structure at the meta-GGA r2SCAN level of DFT.

Geometry as POSCAR:
```
NbNiTe2
1.0
7.9829 0.0000 0.0000
0.0000 7.5024 0.0000
0.0000 0.0000 6.3390
Nb Ni Te
4 4 8
Direct
0.2050 0.0000 0.0000
0.2950 0.0000 0.5000
0.7050 0.0000 0.5000
0.7950 0.0000 0.0000
0.0000 0.1165 0.3580
0.0000 0.8835 0.6420
0.5000 0.1165 0.1420
0.5000 0.8835 0.8580
0.0000 0.2153 0.7494
0.0000 0.7847 0.2506
0.2500 0.3090 0.2500
0.2500 0.6910 0.7500
0.5000 0.2153 0.7506
0.5000 0.7847 0.2494
0.7500 0.3090 0.2500
0.7500 0.6910 0.7500
```

## Properties
The space group is Pmna, No. 53. The calculation puts the energy relative to the elements at -0.484 eV per atom. The spin magnetization is 0.00 μB/f.u.

***

# 4
Computed, not measured: a geometry-optimized Nb2O5 structure at the meta-GGA r2SCAN level of DFT.

Geometry as POSCAR:
```
Nb2O5
1.0
6.5037 -1.9294 0.0000
6.5037 1.9294 0.0000
-0.0588 0.0000 4.0182
Nb O
2 5
Direct
0.1465 0.1465 0.0681
0.8535 0.8535 0.9319
0.0000 0.0000 0.0000
0.1490 0.1490 0.5156
0.3149 0.3149 0.9946
0.6851 0.6851 0.0054
0.8510 0.8510 0.4844
```

## Properties
The space group is C2/m, No. 12. The calculation puts the energy relative to the elements at -2.724 eV per atom. The spin magnetization is 0.00 μB/f.u.

***

# 5
Computed, not measured: a geometry-optimized Nb2O5 structure at the meta-GGA r2SCAN level of DFT.

Geometry as POSCAR:
```
Nb2O5
1.0
-10.3135 10.3135 1.9203
10.3135 -10.3135 1.9203
10.3135 10.3135 -1.9203
Nb O
16 40
Direct
0.0000 0.1316 0.1316
0.0000 0.4008 0.4008
0.0000 0.5992 0.5992
0.0000 0.8684 0.8684
0.1316 0.0000 0.1316
0.1352 0.2665 0.4016
0.1352 0.7335 0.8687
0.2665 0.1352 0.4016
0.2665 0.8648 0.1313
0.4008 0.0000 0.4008
0.5992 0.0000 0.5992
0.7335 0.1352 0.8687
0.7335 0.8648 0.5984
0.8648 0.2665 0.1313
0.8648 0.7335 0.5984
0.8684 0.0000 0.8684
0.0661 0.5000 0.5661
0.0691 0.2098 0.2789
0.0689 0.3477 0.4166
0.0689 0.6523 0.7213
0.0691 0.7902 0.8594
0.0698 0.0698 0.1396
0.0698 0.9302 0.0000
0.2065 0.2065 0.4130
0.2065 0.7935 0.0000
0.2098 0.0691 0.2789
0.2100 0.3514 0.5614
0.2100 0.6486 0.8586
0.2098 0.9309 0.1406
0.3477 0.0689 0.4166
0.3477 0.9311 0.2787
0.3514 0.2100 0.5614
0.3514 0.7900 0.1414
0.3550 0.5000 0.8550
0.5000 0.0661 0.5661
0.5000 0.3550 0.8550
0.5000 0.6450 0.1450
0.5000 0.9339 0.4339
0.6450 0.5000 0.1450
0.6486 0.2100 0.8586
0.6486 0.7900 0.4386
0.6523 0.0689 0.7213
0.6523 0.9311 0.5834
0.7902 0.0691 0.8594
0.7900 0.3514 0.1414
0.7900 0.6486 0.4386
0.7902 0.9309 0.7211
0.7935 0.2065 0.0000
0.7935 0.7935 0.5870
0.9302 0.0698 0.0000
0.9302 0.9302 0.8604
0.9309 0.2098 0.1406
0.9311 0.3477 0.2787
0.9311 0.6523 0.5834
0.9309 0.7902 0.7211
0.9339 0.5000 0.4339
```

## Properties
The space group is I4/mmm, No. 139. The calculation puts the energy relative to the elements at -2.718 eV per atom. The spin magnetization is 0.00 μB/f.u.

***

# 6
Computed, not measured: a geometry-optimized Nb4O5 structure at the meta-GGA r2SCAN level of DFT.

Geometry as POSCAR:
```
Nb4O5
1.0
6.7156 0.0000 0.0000
0.0000 6.7156 0.0000
0.0000 0.0000 4.8418
Nb O
8 10
Direct
0.0461 0.2500 0.0457
0.2500 0.0461 0.5457
0.2500 0.4539 0.5457
0.4539 0.2500 0.0457
0.5461 0.7500 0.9543
0.7500 0.5461 0.4543
0.7500 0.9539 0.4543
0.9539 0.7500 0.9543
0.0364 0.5364 0.2500
0.0364 0.9636 0.2500
0.2500 0.7500 0.7500
0.4636 0.5364 0.2500
0.4636 0.9636 0.2500
0.5364 0.0364 0.7500
0.5364 0.4636 0.7500
0.7500 0.2500 0.2500
0.9636 0.0364 0.7500
0.9636 0.4636 0.7500
```

## Properties
The space group is P4_2/nmc, No. 137. The calculation puts the energy relative to the elements at -2.302 eV per atom. The spin magnetization is 0.00 μB/f.u.

***

# 7
Computed, not measured: a geometry-optimized Nb2O5 structure at the meta-GGA r2SCAN level of DFT.

Geometry as POSCAR:
```
Nb2O5
1.0
6.4459 -2.4627 0.0000
6.4459 2.4627 0.0000
-1.4059 0.0000 5.4556
Nb O
4 10
Direct
0.1020 0.6174 0.7482
0.3826 0.8980 0.7518
0.6174 0.1020 0.2482
0.8980 0.3826 0.2518
0.1017 0.8983 0.7500
0.1349 0.2764 0.6275
0.2764 0.1349 0.1275
0.3370 0.4444 0.0269
0.4444 0.3370 0.5269
0.5556 0.6630 0.4731
0.6630 0.5556 0.9731
0.7236 0.8651 0.8725
0.8651 0.7236 0.3725
0.8983 0.1017 0.2500
```

## Properties
The space group is C2/c, No. 15. The calculation puts the energy relative to the elements at -2.739 eV per atom. The spin magnetization is 0.00 μB/f.u.

***

# 8
Computed, not measured: a geometry-optimized Nb2O5 structure at the meta-GGA r2SCAN level of DFT.

Geometry as POSCAR:
```
Nb2O5
1.0
14.5016 -1.9187 0.0000
14.5016 1.9187 0.0000
-10.2579 0.0000 14.6170
Nb O
16 40
Direct
0.0205 0.0205 0.3706
0.0614 0.0614 0.1012
0.0748 0.0748 0.9025
0.1123 0.1123 0.6335
0.1551 0.1551 0.3714
0.2078 0.2078 0.9024
0.2479 0.2479 0.6331
0.3420 0.3420 0.9001
0.6580 0.6580 0.0999
0.7521 0.7521 0.3669
0.7922 0.7922 0.0976
0.8449 0.8449 0.6286
0.8877 0.8877 0.3665
0.9252 0.9252 0.0975
0.9386 0.9386 0.8988
0.9795 0.9795 0.6294
0.0151 0.0151 0.9404
0.0241 0.0241 0.7822
0.0521 0.0521 0.6481
0.0654 0.0654 0.5006
0.0919 0.0919 0.3690
0.1020 0.1020 0.2241
0.1294 0.1294 0.0734
0.1447 0.1447 0.9136
0.1687 0.1687 0.7799
0.1875 0.1875 0.6377
0.2085 0.2085 0.5015
0.2295 0.2295 0.3575
0.2733 0.2733 0.0610
0.2853 0.2853 0.9151
0.3044 0.3044 0.7766
0.3309 0.3309 0.6406
0.3762 0.3762 0.3555
0.4115 0.4115 0.0551
0.4256 0.4256 0.9119
0.4808 0.4808 0.6476
0.5192 0.5192 0.3524
0.5744 0.5744 0.0881
0.5885 0.5885 0.9449
0.6238 0.6238 0.6445
0.6691 0.6691 0.3594
0.6956 0.6956 0.2234
0.7147 0.7147 0.0849
0.7267 0.7267 0.9390
0.7705 0.7705 0.6425
0.7915 0.7915 0.4985
0.8125 0.8125 0.3623
0.8313 0.8313 0.2201
0.8553 0.8553 0.0864
0.8706 0.8706 0.9266
0.8980 0.8980 0.7759
0.9081 0.9081 0.6310
0.9346 0.9346 0.4994
0.9479 0.9479 0.3519
0.9759 0.9759 0.2178
0.9849 0.9849 0.0596
```

## Properties
The space group is C2/m, No. 12. The calculation puts the energy relative to the elements at -2.729 eV per atom. The spin magnetization is 0.00 μB/f.u.

***

# 9
Computed, not measured: a geometry-optimized Nb2O5 structure at the meta-GGA r2SCAN level of DFT.

Geometry as POSCAR:
```
Nb2O5
1.0
7.7312 0.0000 0.0000
1.9238 11.2273 0.0000
1.9416 0.0784 11.3506
Nb O
20 50
Direct
0.0783 0.2085 0.4403
0.1428 0.3190 0.1164
0.1869 0.4473 0.8008
0.1992 0.8881 0.3219
0.2515 0.9968 0.9967
0.2655 0.4154 0.5258
0.3039 0.1146 0.6748
0.3062 0.5554 0.2174
0.3603 0.6720 0.8931
0.4043 0.7905 0.5636
0.5957 0.2095 0.4364
0.6397 0.3280 0.1069
0.6938 0.4446 0.7826
0.6961 0.8854 0.3252
0.7345 0.5846 0.4742
0.7485 0.0032 0.0033
0.8008 0.1119 0.6781
0.8131 0.5527 0.1992
0.8572 0.6810 0.8836
0.9217 0.7915 0.5597
0.0000 0.0000 0.0000
0.0419 0.3614 0.5203
0.0567 0.1354 0.6352
0.0775 0.5107 0.1873
0.0998 0.2670 0.2893
0.1236 0.6330 0.8672
0.1553 0.0392 0.3940
0.1683 0.3820 0.9557
0.1704 0.8109 0.5118
0.1922 0.1643 0.0675
0.2072 0.5328 0.6391
0.2241 0.9356 0.1659
0.2447 0.3091 0.7072
0.2540 0.7073 0.2707
0.2722 0.0751 0.8333
0.2874 0.4761 0.3688
0.3075 0.8343 0.9335
0.3269 0.2075 0.4864
0.3403 0.6092 0.0435
0.3681 0.9639 0.6058
0.3735 0.3601 0.1393
0.3789 0.7350 0.7130
0.4261 0.4918 0.8112
0.4456 0.8580 0.3610
0.4814 0.6375 0.4820
0.5000 0.0000 0.0000
0.5186 0.3625 0.5180
0.5544 0.1420 0.6390
0.5739 0.5082 0.1888
0.6211 0.2650 0.2870
0.6265 0.6399 0.8607
0.6319 0.0361 0.3942
0.6597 0.3908 0.9565
0.6731 0.7925 0.5136
0.6925 0.1657 0.0665
0.7126 0.5239 0.6312
0.7278 0.9249 0.1667
0.7460 0.2927 0.7293
0.7553 0.6909 0.2928
0.7759 0.0644 0.8341
0.7928 0.4672 0.3609
0.8078 0.8357 0.9325
0.8296 0.1891 0.4882
0.8317 0.6180 0.0443
0.8447 0.9608 0.6060
0.8764 0.3670 0.1328
0.9002 0.7330 0.7107
0.9225 0.4893 0.8127
0.9433 0.8646 0.3648
0.9581 0.6386 0.4797
```

## Properties
The space group is P-1, No. 2. The calculation puts the energy relative to the elements at -2.723 eV per atom. The spin magnetization is 0.00 μB/f.u.

***

# 10
Computed, not measured: a geometry-optimized Nb2O5 structure at the meta-GGA r2SCAN level of DFT.

Geometry as POSCAR:
```
Nb2O5
1.0
5.3194 0.0000 0.0000
0.0000 9.6463 0.0000
0.0000 0.0000 9.9354
Nb O
8 20
Direct
0.1112 0.0309 0.2828
0.1118 0.6557 0.9010
0.3882 0.3443 0.4010
0.3888 0.9691 0.7828
0.6112 0.4691 0.7172
0.6118 0.8443 0.0990
0.8882 0.1557 0.5990
0.8888 0.5309 0.2172
0.0169 0.0168 0.4640
0.1094 0.2926 0.5291
0.1313 0.0936 0.7394
0.1590 0.5014 0.3294
0.2233 0.2146 0.2681
0.2767 0.7854 0.7681
0.3410 0.4986 0.8294
0.3687 0.9064 0.2394
0.3906 0.7074 0.0291
0.4831 0.9832 0.9640
0.5169 0.4832 0.5360
0.6094 0.2074 0.4709
0.6313 0.4064 0.2606
0.6590 0.9986 0.6706
0.7233 0.2854 0.7319
0.7767 0.7146 0.2319
0.8410 0.0014 0.1706
0.8687 0.5936 0.7606
0.8906 0.7926 0.9709
0.9831 0.5168 0.0360
```

## Properties
The space group is P2_12_12_1, No. 19. The calculation puts the energy relative to the elements at -2.638 eV per atom. The spin magnetization is 0.00 μB/f.u.

***

# 11
Computed, not measured: a geometry-optimized Nb2P3O12 structure at the meta-GGA r2SCAN level of DFT.

Geometry as POSCAR:
```
Nb2P3O12
1.0
8.7941 0.0000 0.0000
-4.3956 7.6203 0.0000
-4.3264 -2.5159 7.3902
Nb P O
4 6 24
Direct
0.2161 0.3580 0.0776
0.2163 0.8598 0.5774
0.7837 0.1402 0.4226
0.7839 0.6420 0.9224
0.0009 0.5332 0.7509
0.2823 0.0314 0.2472
0.2822 0.2525 0.7448
0.7178 0.7475 0.2552
0.7177 0.9686 0.7528
0.9991 0.4668 0.2491
0.0893 0.8668 0.0774
0.0931 0.2268 0.5741
0.1292 0.5006 0.9214
0.1315 0.6356 0.4141
0.1504 0.4393 0.2354
0.1552 0.7051 0.7331
0.2727 0.0024 0.4110
0.2761 0.2826 0.9092
0.2837 0.0799 0.7244
0.2894 0.2069 0.2216
0.4807 0.0600 0.2750
0.4843 0.4171 0.7721
0.5157 0.5829 0.2279
0.5193 0.9400 0.7250
0.7106 0.7931 0.7784
0.7163 0.9201 0.2756
0.7239 0.7174 0.0908
0.7273 0.9976 0.5890
0.8448 0.2949 0.2669
0.8496 0.5607 0.7646
0.8685 0.3644 0.5859
0.8708 0.4994 0.0786
0.9069 0.7732 0.4259
0.9107 0.1332 0.9226
```

## Properties
The space group is P-1, No. 2. The calculation puts the energy relative to the elements at -2.564 eV per atom. The spin magnetization is 1.00 μB/f.u.